Compound: Li2VO2F2
Source: the Materials Project
Functional: GGA+U
Structure: optimized geometry

a = 6.037 Å, b = 5.947 Å, c = 8.405 Å
α = 90.00°, β = 90.78°, γ = 90.00°
Atoms (fractional coordinates):
Li (0.000, 0.000, 0.000)
Li (0.000, 0.483, 0.500)
Li (0.244, 0.249, 0.239)
Li (0.248, 0.993, 0.640)
Li (0.257, 0.499, 0.869)
Li (0.743, 0.499, 0.131)
Li (0.752, 0.993, 0.360)
Li (0.756, 0.249, 0.761)
V (0.241, 0.771, 0.236)
V (0.500, 0.489, 0.500)
V (0.500, 0.978, 0.000)
V (0.759, 0.771, 0.764)
O (0.037, 0.971, 0.259)
O (0.265, 0.758, 0.015)
O (0.473, 0.523, 0.287)
O (0.484, 0.991, 0.222)
O (0.516, 0.991, 0.778)
O (0.527, 0.523, 0.713)
O (0.735, 0.758, 0.985)
O (0.963, 0.971, 0.741)
F (0.027, 0.502, 0.255)
F (0.254, 0.728, 0.497)
F (0.257, 0.225, 0.995)
F (0.261, 0.267, 0.508)
F (0.739, 0.267, 0.492)
F (0.743, 0.225, 0.005)
F (0.746, 0.728, 0.503)
F (0.973, 0.502, 0.745)

Properties
* E above lowest polymorph: 37 meV/atom
* space group: P2, No. 3
* total energy: -42.23 eV/f.u.
* M_tot: 1.1 μB/f.u.
* ΔH_f (0 K): -2.80 eV per atom